[1]
# GGA-PBE RbLiMg6O7, optimized geometry
# - relative energy among the computed polymorphs (eV per formula unit) = 1.67
# - magnetic moment (μB/atom) = 0.000
# - total energy after the MP2020 corrections (eV per cell) = -80.54
# - total energy (Ry per atom) = -0.3711
# - DFT formation energy (meV/atom) = -2227
data_RbLiMg6O7
_chemical_formula_sum 'Rb1 Li1 Mg6 O7'
_cell_length_a 4.500
_cell_length_b 4.500
_cell_length_c 8.532
_cell_angle_alpha 90.00
_cell_angle_beta 90.00
_cell_angle_gamma 90.00
_space_group_name_H-M_alt 'P 4 m m'
_space_group_IT_number 99
loop_
_space_group_symop_operation_xyz
'x,y,z'
'-y,x,z'
'-x,-y,z'
'y,-x,z'
'-x,y,z'
'y,x,z'
'x,-y,z'
'-y,-x,z'
loop_
_atom_site_label
_atom_site_type_symbol
_atom_site_fract_x
_atom_site_fract_y
_atom_site_fract_z
Rb1 Rb 0.000 0.000 0.000
Li1 Li 0.500 0.500 0.908
Mg1 Mg 0.000 0.000 0.438
Mg2 Mg 0.000 0.500 0.155
Mg3 Mg 0.000 0.500 0.692
Mg4 Mg 0.500 0.500 0.413
O1 O 0.000 0.000 0.660
O2 O 0.000 0.500 0.389
O3 O 0.000 0.500 0.921
O4 O 0.500 0.500 0.169
O5 O 0.500 0.500 0.651

=====

[2]
# GGA-PBE RbLiMg6O7, optimized geometry
# - relative energy among the computed polymorphs (eV per formula unit) = 0.05
# - magnetic moment (μB/atom) = 0.008
# - total energy after the MP2020 corrections (eV per cell) = -82.16
# - total energy (Ry per atom) = -0.3790
# - DFT formation energy (meV/atom) = -2335
data_RbLiMg6O7
_chemical_formula_sum 'Rb1 Li1 Mg6 O7'
_cell_length_a 4.156
_cell_length_b 4.156
_cell_length_c 11.407
_cell_angle_alpha 90.00
_cell_angle_beta 90.00
_cell_angle_gamma 90.00
_space_group_name_H-M_alt 'P 4 m m'
_space_group_IT_number 99
loop_
_space_group_symop_operation_xyz
'x,y,z'
'-y,x,z'
'-x,-y,z'
'y,-x,z'
'-x,y,z'
'y,x,z'
'x,-y,z'
'-y,-x,z'
loop_
_atom_site_label
_atom_site_type_symbol
_atom_site_fract_x
_atom_site_fract_y
_atom_site_fract_z
Rb1 Rb 0.000 0.000 0.000
Li1 Li 0.000 0.000 0.484
Mg1 Mg 0.000 0.500 0.292
Mg2 Mg 0.000 0.500 0.665
Mg3 Mg 0.500 0.500 0.461
Mg4 Mg 0.500 0.500 0.856
O1 O 0.000 0.000 0.259
O2 O 0.000 0.000 0.655
O3 O 0.000 0.500 0.480
O4 O 0.000 0.500 0.843
O5 O 0.500 0.500 0.282

=====

[3]
# GGA-PBE RbLiMg6O7, optimized geometry
# - relative energy among the computed polymorphs (eV per formula unit) = 0.67
# - total energy after the MP2020 corrections (eV per cell) = -81.54
# - total energy (Ry per atom) = -0.3760
# - DFT formation energy (meV/atom) = -2294
data_RbLiMg6O7
_chemical_formula_sum 'Rb1 Li1 Mg6 O7'
_cell_length_a 4.607
_cell_length_b 4.607
_cell_length_c 8.138
_cell_angle_alpha 90.00
_cell_angle_beta 90.00
_cell_angle_gamma 90.00
_space_group_name_H-M_alt 'P 4 m m'
_space_group_IT_number 99
loop_
_space_group_symop_operation_xyz
'x,y,z'
'-y,x,z'
'-x,-y,z'
'y,-x,z'
'-x,y,z'
'y,x,z'
'x,-y,z'
'-y,-x,z'
loop_
_atom_site_label
_atom_site_type_symbol
_atom_site_fract_x
_atom_site_fract_y
_atom_site_fract_z
Rb1 Rb 0.000 0.000 0.000
Li1 Li 0.000 0.000 0.550
Mg1 Mg 0.000 0.500 0.328
Mg2 Mg 0.000 0.500 0.826
Mg3 Mg 0.500 0.500 0.088
Mg4 Mg 0.500 0.500 0.577
O1 O 0.000 0.000 0.328
O2 O 0.000 0.500 0.074
O3 O 0.000 0.500 0.592
O4 O 0.500 0.500 0.332
O5 O 0.500 0.500 0.832

=====

[4]
# GGA-PBE Li2Mg2S3O12, optimized geometry
# - total energy after the MP2020 corrections (eV per cell) = -496.34
# - total energy (Ry per atom) = -0.4481
# - DFT formation energy (meV/atom) = -2383
data_Li2Mg2S3O12
_chemical_formula_sum 'Li8 Mg8 S12 O48'
_cell_length_a 12.349
_cell_length_b 8.638
_cell_length_c 8.810
_cell_angle_alpha 90.00
_cell_angle_beta 90.00
_cell_angle_gamma 90.00
_space_group_name_H-M_alt 'P b c n'
_space_group_IT_number 60
loop_
_space_group_symop_operation_xyz
'x,y,z'
'-x,-y,-z'
'-x+1/2,-y+1/2,z+1/2'
'x+1/2,y+1/2,-z+1/2'
'x+1/2,-y+1/2,-z'
'-x+1/2,y+1/2,z'
'-x,y,-z+1/2'
'x,-y,z+1/2'
loop_
_atom_site_label
_atom_site_type_symbol
_atom_site_fract_x
_atom_site_fract_y
_atom_site_fract_z
Li1 Li 0.181 0.214 0.223
Mg1 Mg 0.109 0.255 0.542
S1 S 0.000 0.453 0.250
S2 S 0.148 0.106 0.896
O1 O 0.037 0.151 0.933
O2 O 0.062 0.454 0.642
O3 O 0.078 0.349 0.332
O4 O 0.158 0.066 0.393
O5 O 0.180 0.168 0.744
O6 O 0.224 0.170 0.013